# 1
Density functional theory data (PBE-GGA) for a geometry-optimized NdYZn2 structure.

Cell: 5.1535 5.1535 5.1535 Å, 60.00 60.00 60.00°
With the nearest neighbours (Å) after each atom.
Atoms (fractional coordinates):
Y 0.0000 0.0000 0.0000  8 Zn 3.16
Nd 0.5000 0.5000 0.5000  8 Zn 3.16
Zn 0.2500 0.2500 0.2500  4 Nd 3.16, 4 Y 3.16
Zn 0.7500 0.7500 0.7500  4 Nd 3.16, 4 Y 3.16

Values from the calculation:
The calculation puts the formation energy at -0.34 eV per atom.

=====

# 2
Density functional theory data (PBE-GGA) for a geometry-optimized PaP2 structure.

Cell: 3.6667 3.6667 4.7541 Å, 90.00 90.00 90.00°
With the nearest neighbours (Å) after each atom.
Atoms (fractional coordinates):
P 0.5000 0.5000 0.2609  2 P 2.27-2.48
P 0.5000 0.5000 0.7391  2 P 2.27-2.48
Pa 0.0000 0.0000 0.0000  8 P 2.87

Values from the calculation:
For the total magnetization, the calculation gives 0.0 Bohr magnetons per cell. The calculation puts the formation energy at -0.74 eV per atom.